1.
Below is NaZn2P2O8 after structural relaxation, with properties calculated at the GGA-PBE level.

Corrected total energy (MP2020 scheme)   -168.63 eV/cell

Cell lengths 5.1400, 8.8550, 8.9476 Å; angles 97.76, 100.24, 105.84 degrees
Last column: nearest neighbours and their distance in Å.
Fractional positions:
Na 0.0897 0.3015 0.3123  5 O 2.31-2.52
Na 0.9103 0.6985 0.6877  5 O 2.31-2.52
Zn 0.1810 0.8908 0.1122  4 O 1.95-2.08
Zn 0.2799 0.3866 0.7442  4 O 1.93-1.98
Zn 0.7201 0.6134 0.2558  4 O 1.93-1.98
Zn 0.8190 0.1092 0.8878  4 O 1.95-2.08
P 0.3364 0.7414 0.4202  4 O 1.53-1.57
P 0.4068 0.2504 0.0601  4 O 1.54-1.59
P 0.5932 0.7496 0.9399  4 O 1.54-1.59
P 0.6636 0.2586 0.5798  4 O 1.53-1.57
O 0.0840 0.5878 0.3438  1 P 1.57
O 0.2181 0.1173 0.1241  1 P 1.55
O 0.2235 0.2431 0.8948  1 P 1.59
O 0.2790 0.8000 0.5774  1 P 1.54
O 0.3107 0.7734 0.9524  1 P 1.54
O 0.3539 0.8681 0.3182  1 P 1.53
O 0.3931 0.3073 0.5573  1 P 1.55
O 0.4420 0.4097 0.1666  1 P 1.54
O 0.5580 0.5903 0.8334  1 P 1.54
O 0.6069 0.6927 0.4427  1 P 1.55
O 0.6461 0.1319 0.6818  1 P 1.53
O 0.6893 0.2266 0.0476  1 P 1.54
O 0.7210 0.2000 0.4226  1 P 1.54
O 0.7765 0.7569 0.1052  1 P 1.59
O 0.7819 0.8827 0.8759  1 P 1.55
O 0.9160 0.4122 0.6562  1 P 1.57


2.
Below is NaZnP3O9 after structural relaxation, with properties calculated at the GGA-PBE level.

Corrected total energy (MP2020 scheme)   -793.75 eV/cell
Polymorph energy (0 for the lowest one)   0.0 meV per atom

Cell lengths 12.7660, 12.7660, 12.7660 Å; angles 109.47, 109.47, 109.47 degrees
Last column: nearest neighbours and their distance in Å.
Fractional positions:
Na 0.0000 0.2802 0.5000  6 O 2.47
Na 0.0000 0.7802 0.5000  6 O 2.47
Na 0.2198 0.2198 0.2198  6 O 2.47
Na 0.2802 0.5000 0.0000  6 O 2.47
Na 0.5000 0.0000 0.2802  6 O 2.47
Na 0.5000 0.0000 0.7802  6 O 2.47
Na 0.7198 0.7198 0.7198  6 O 2.47
Na 0.7802 0.5000 0.0000  6 O 2.47
Zn 0.0000 0.0301 0.5000  6 O 2.12-2.13
Zn 0.0000 0.5301 0.5000  6 O 2.12-2.13
Zn 0.0301 0.5000 0.0000  6 O 2.12-2.13
Zn 0.4699 0.4699 0.4699  6 O 2.12-2.13
Zn 0.5000 0.0000 0.0301  6 O 2.12-2.13
Zn 0.5000 0.0000 0.5301  6 O 2.12-2.13
Zn 0.5301 0.5000 0.0000  6 O 2.12-2.13
Zn 0.9699 0.9699 0.9699  6 O 2.12-2.13
P 0.0055 0.2196 0.9422  4 O 1.50-1.63
P 0.0578 0.5633 0.2774  4 O 1.50-1.63
P 0.0633 0.5578 0.7774  4 O 1.50-1.63
P 0.2141 0.4945 0.4367  4 O 1.50-1.63
P 0.2196 0.9422 0.0055  4 O 1.50-1.63
P 0.2226 0.7859 0.7804  4 O 1.50-1.63
P 0.2774 0.0578 0.5633  4 O 1.50-1.63
P 0.2804 0.2859 0.7226  4 O 1.50-1.63
P 0.2859 0.7226 0.2804  4 O 1.50-1.63
P 0.4367 0.2141 0.4945  4 O 1.50-1.63
P 0.4422 0.7196 0.5055  4 O 1.50-1.63
P 0.4945 0.4367 0.2141  4 O 1.50-1.63
P 0.5055 0.4422 0.7196  4 O 1.50-1.63
P 0.5578 0.7774 0.0633  4 O 1.50-1.63
P 0.5633 0.2774 0.0578  4 O 1.50-1.63
P 0.7141 0.9367 0.9945  4 O 1.50-1.63
P 0.7196 0.5055 0.4422  4 O 1.50-1.63
P 0.7226 0.2804 0.2859  4 O 1.50-1.63
P 0.7774 0.0633 0.5578  4 O 1.50-1.63
P 0.7804 0.2226 0.7859  4 O 1.50-1.63
P 0.7859 0.7804 0.2226  4 O 1.50-1.63
P 0.9367 0.9945 0.7141  4 O 1.50-1.63
P 0.9422 0.0055 0.2196  4 O 1.50-1.63
P 0.9945 0.7141 0.9367  4 O 1.50-1.63
O 0.0021 0.9714 0.6375  1 P 1.50
O 0.0061 0.5932 0.3665  1 P 1.50
O 0.0206 0.1453 0.8217  2 P 1.62-1.63
O 0.0286 0.1661 0.0307  1 P 1.50
O 0.0307 0.0286 0.1661  1 P 1.50
O 0.0872 0.3604 0.9939  1 P 1.50
O 0.0932 0.5061 0.8665  1 P 1.50
O 0.1247 0.4794 0.3011  2 P 1.62-1.63
O 0.1335 0.7268 0.6396  1 P 1.50
O 0.1355 0.9693 0.4979  1 P 1.50
O 0.1375 0.4714 0.5021  1 P 1.50
O 0.1396 0.2268 0.6335  1 P 1.50
O 0.1453 0.8217 0.0206  2 P 1.62-1.63
O 0.1661 0.0307 0.0286  1 P 1.50
O 0.1764 0.8753 0.8547  2 P 1.62-1.63
O 0.1783 0.6989 0.3236  2 P 1.62-1.63
O 0.1989 0.6783 0.8236  2 P 1.62-1.63
O 0.2268 0.6335 0.1396  1 P 1.50
O 0.2732 0.4128 0.4068  1 P 1.50
O 0.3011 0.1247 0.4794  2 P 1.62-1.63
O 0.3217 0.6453 0.5206  2 P 1.62-1.63
O 0.3236 0.1783 0.6989  2 P 1.62-1.63
O 0.3339 0.3625 0.8645  1 P 1.50
O 0.3547 0.3753 0.6764  2 P 1.62-1.63
O 0.3604 0.9939 0.0872  1 P 1.50
O 0.3625 0.8645 0.3339  1 P 1.50
O 0.3645 0.8625 0.8339  1 P 1.50
O 0.3665 0.0061 0.5932  1 P 1.50
O 0.3753 0.6764 0.3547  2 P 1.62-1.63
O 0.4068 0.2732 0.4128  1 P 1.50
O 0.4128 0.4068 0.2732  1 P 1.50
O 0.4693 0.6355 0.9979  1 P 1.50
O 0.4714 0.5021 0.1375  1 P 1.50
O 0.4794 0.3011 0.1247  2 P 1.62-1.63
O 0.4939 0.8604 0.5872  1 P 1.50
O 0.4979 0.1355 0.9693  1 P 1.50
O 0.5021 0.1375 0.4714  1 P 1.50
O 0.5061 0.8665 0.0932  1 P 1.50
O 0.5206 0.3217 0.6453  2 P 1.62-1.63
O 0.5286 0.5307 0.6661  1 P 1.50
O 0.5307 0.6661 0.5286  1 P 1.50
O 0.5872 0.4939 0.8604  1 P 1.50
O 0.5932 0.3665 0.0061  1 P 1.50
O 0.6247 0.8011 0.9794  2 P 1.62-1.63
O 0.6335 0.1396 0.2268  1 P 1.50
O 0.6355 0.9979 0.4693  1 P 1.50
O 0.6375 0.0021 0.9714  1 P 1.50
O 0.6396 0.1335 0.7268  1 P 1.50
O 0.6453 0.5206 0.3217  2 P 1.62-1.63
O 0.6661 0.5286 0.5307  1 P 1.50
O 0.6764 0.3547 0.3753  2 P 1.62-1.63
O 0.6783 0.8236 0.1989  2 P 1.62-1.63
O 0.6989 0.3236 0.1783  2 P 1.62-1.63
O 0.7268 0.6396 0.1335  1 P 1.50
O 0.7732 0.9068 0.9128  1 P 1.50
O 0.8011 0.9794 0.6247  2 P 1.62-1.63
O 0.8217 0.0206 0.1453  2 P 1.62-1.63
O 0.8236 0.1989 0.6783  2 P 1.62-1.63
O 0.8339 0.3645 0.8625  1 P 1.50
O 0.8547 0.1764 0.8753  2 P 1.62-1.63
O 0.8604 0.5872 0.4939  1 P 1.50
O 0.8625 0.8339 0.3645  1 P 1.50
O 0.8645 0.3339 0.3625  1 P 1.50
O 0.8665 0.0932 0.5061  1 P 1.50
O 0.8753 0.8547 0.1764  2 P 1.62-1.63
O 0.9068 0.9128 0.7732  1 P 1.50
O 0.9128 0.7732 0.9068  1 P 1.50
O 0.9693 0.4979 0.1355  1 P 1.50
O 0.9714 0.6375 0.0021  1 P 1.50
O 0.9794 0.6247 0.8011  2 P 1.62-1.63
O 0.9939 0.0872 0.3604  1 P 1.50
O 0.9979 0.4693 0.6355  1 P 1.50


no.,formation enthalpy at 0 K (eV per atom)
1,-2.313
2,-2.562